Computed, not measured: Ca3Ni7B2 after structural relaxation at the GGA-PBE level of DFT.

Calculated values
ΔH_f (0 K): -32.4 kJ per mole of atoms

```
Ca3Ni7B2
1.0
7.245 -2.567 0.000
7.245 2.567 0.000
6.335 0.000 4.352
Ca Ni B
3 7 2
direct
0.645 0.645 0.645
0.355 0.355 0.355
0.500 0.500 0.500
0.572 0.061 0.061
0.061 0.061 0.572
0.061 0.572 0.061
0.939 0.428 0.939
0.939 0.939 0.428
0.428 0.939 0.939
0.000 0.000 0.000
0.831 0.831 0.831
0.169 0.169 0.169
```